(1)
{
  "formula": "CaVSi4H12O11",
  "functional": "GGA+U",
  "state": "relaxed",
  "ef_ev_per_atom": -1.61,
  "dft_energy_ev_per_cell": -661.58,
  "space_group": "Pnma, No. 62",
  "lattice": [[10.237, 0.000, 0.000], [0.000, 14.088, 0.000], [0.000, 0.000, 9.770]],
  "species": ["Ca", "Ca", "Ca", "Ca", "V", "V", "V", "V", "Si", "Si", "Si", "Si", "Si", "Si", "Si", "Si", "Si", "Si", "Si", "Si", "Si", "Si", "Si", "Si", "H", "H", "H", "H", "H", "H", "H", "H", "H", "H", "H", "H", "H", "H", "H", "H", "H", "H", "H", "H", "H", "H", "H", "H", "H", "H", "H", "H", "H", "H", "H", "H", "H", "H", "H", "H", "H", "H", "H", "H", "H", "H", "H", "H", "H", "H", "H", "H", "O", "O", "O", "O", "O", "O", "O", "O", "O", "O", "O", "O", "O", "O", "O", "O", "O", "O", "O", "O", "O", "O", "O", "O", "O", "O", "O", "O", "O", "O", "O", "O", "O", "O", "O", "O", "O", "O", "O", "O", "O", "O", "O", "O"],
  "fractional_positions": [[0.154, 0.250, 0.117], [0.346, 0.750, 0.617], [0.654, 0.250, 0.383], [0.846, 0.750, 0.883], [0.021, 0.750, 0.590], [0.479, 0.250, 0.090], [0.521, 0.750, 0.910], [0.979, 0.250, 0.410], [0.104, 0.044, 0.314], [0.104, 0.456, 0.314], [0.173, 0.537, 0.606], [0.173, 0.963, 0.606], [0.327, 0.037, 0.106], [0.327, 0.463, 0.106], [0.396, 0.544, 0.814], [0.396, 0.956, 0.814], [0.604, 0.044, 0.186], [0.604, 0.456, 0.186], [0.673, 0.537, 0.894], [0.673, 0.963, 0.894], [0.827, 0.037, 0.394], [0.827, 0.463, 0.394], [0.896, 0.544, 0.686], [0.896, 0.956, 0.686], [0.054, 0.126, 0.916], [0.054, 0.374, 0.916], [0.085, 0.750, 0.245], [0.101, 0.603, 0.958], [0.101, 0.897, 0.958], [0.124, 0.654, 0.942], [0.124, 0.846, 0.942], [0.126, 0.125, 0.899], [0.126, 0.375, 0.899], [0.165, 0.250, 0.742], [0.175, 0.750, 0.901], [0.232, 0.250, 0.774], [0.268, 0.750, 0.274], [0.325, 0.250, 0.401], [0.335, 0.750, 0.242], [0.374, 0.625, 0.399], [0.374, 0.875, 0.399], [0.376, 0.154, 0.442], [0.376, 0.346, 0.442], [0.399, 0.103, 0.458], [0.399, 0.397, 0.458], [0.415, 0.250, 0.745], [0.446, 0.626, 0.416], [0.446, 0.874, 0.416], [0.554, 0.126, 0.584], [0.554, 0.374, 0.584], [0.585, 0.750, 0.255], [0.601, 0.603, 0.542], [0.601, 0.897, 0.542], [0.624, 0.654, 0.558], [0.624, 0.846, 0.558], [0.626, 0.125, 0.601], [0.626, 0.375, 0.601], [0.665, 0.250, 0.758], [0.675, 0.750, 0.599], [0.732, 0.250, 0.726], [0.768, 0.750, 0.226], [0.825, 0.250, 0.099], [0.835, 0.750, 0.258], [0.874, 0.625, 0.101], [0.874, 0.875, 0.101], [0.876, 0.154, 0.058], [0.876, 0.346, 0.058], [0.899, 0.103, 0.042], [0.899, 0.397, 0.042], [0.915, 0.250, 0.755], [0.946, 0.626, 0.084], [0.946, 0.874, 0.084], [0.034, 0.250, 0.567], [0.043, 0.003, 0.687], [0.043, 0.497, 0.687], [0.088, 0.158, 0.299], [0.088, 0.342, 0.299], [0.169, 0.653, 0.596], [0.169, 0.847, 0.596], [0.180, 0.012, 0.454], [0.180, 0.488, 0.454], [0.191, 0.005, 0.184], [0.191, 0.495, 0.184], [0.309, 0.505, 0.684], [0.309, 0.995, 0.684], [0.320, 0.512, 0.954], [0.320, 0.988, 0.954], [0.331, 0.153, 0.096], [0.331, 0.347, 0.096], [0.412, 0.658, 0.799], [0.412, 0.842, 0.799], [0.457, 0.503, 0.187], [0.457, 0.997, 0.187], [0.466, 0.750, 0.067], [0.534, 0.250, 0.933], [0.543, 0.003, 0.813], [0.543, 0.497, 0.813], [0.588, 0.158, 0.201], [0.588, 0.342, 0.201], [0.669, 0.653, 0.904], [0.669, 0.847, 0.904], [0.680, 0.012, 0.046], [0.680, 0.488, 0.046], [0.691, 0.005, 0.316], [0.691, 0.495, 0.316], [0.809, 0.505, 0.816], [0.809, 0.995, 0.816], [0.820, 0.512, 0.546], [0.820, 0.988, 0.546], [0.831, 0.153, 0.404], [0.831, 0.347, 0.404], [0.912, 0.658, 0.701], [0.912, 0.842, 0.701], [0.957, 0.503, 0.313], [0.957, 0.997, 0.313], [0.966, 0.750, 0.433]]
}

---

(2)
{
  "formula": "BaHoCo2O6",
  "functional": "GGA+U",
  "state": "relaxed",
  "ef_ev_per_atom": -2.18,
  "dft_energy_ev_per_cell": -64.81,
  "space_group": "P4/mmm, No. 123",
  "e_above_lowest_polymorph_mev_per_atom": 0,
  "lattice": [[3.819, 0.000, 0.000], [0.000, 3.819, 0.000], [0.000, 0.000, 7.857]],
  "species": ["Ba", "Ho", "Co", "Co", "O", "O", "O", "O", "O", "O"],
  "fractional_positions": [[0.000, 0.000, 0.000], [0.000, 0.000, 0.500], [0.500, 0.500, 0.256], [0.500, 0.500, 0.744], [0.000, 0.500, 0.289], [0.000, 0.500, 0.711], [0.500, 0.000, 0.289], [0.500, 0.000, 0.711], [0.500, 0.500, 0.000], [0.500, 0.500, 0.500]]
}

---

Number 2 is which compound? BaHoCo2O6